(1)
Entry from Materials Project: LaEuPd6 after structural relaxation (PBE-GGA).

- Space-group type: P4/mmm, No. 123

The structure in POSCAR format:
```
LaEuPd6
1.0
4.318 0.000 0.000
0.000 4.318 0.000
0.000 0.000 8.501
La Eu Pd
1 1 6
direct
0.000 0.000 0.500
0.000 0.000 0.000
0.500 0.500 0.000
0.500 0.500 0.500
0.500 0.000 0.250
0.500 0.000 0.750
0.000 0.500 0.250
0.000 0.500 0.750
```


(2)
Entry from Materials Project: LaEuPt2 after structural relaxation (PBE-GGA).

- Space-group type: Fm-3m, No. 225

The structure in POSCAR format:
```
LaEuPt2
1.0
-4.221 -2.571 -1.399
-4.607 1.508 1.699
-3.357 2.145 -3.242
La Eu Pt
1 1 2
direct
0.000 0.000 0.000
0.500 0.500 0.500
0.250 0.250 0.250
0.750 0.750 0.750
```


Number 1: total energy -51.55 eV for the cell shown, E_form -0.66 eV/atom. Number 2: total energy -31.42 eV for the cell shown, E_form -1.02 eV/atom.